V3PN | r2SCAN | optimized geometry

```
data_V3PN
_chemical_formula_sum 'V12 P4 N4'
_cell_length_a 3.104
_cell_length_b 9.662
_cell_length_c 7.352
_cell_angle_alpha 90.00
_cell_angle_beta 90.00
_cell_angle_gamma 90.00
_space_group_name_H-M_alt 'C m c m'
_space_group_IT_number 63
_space_group_name_Hall '-C 2c 2'
loop_
_atom_site_label
_atom_site_type_symbol
_atom_site_fract_x
_atom_site_fract_y
_atom_site_fract_z
V1 V 0.000 0.067 0.250
V2 V 0.000 0.365 0.051
P1 P 0.000 0.252 0.750
N1 N 0.000 0.000 0.000
```

---

U2In3Sn3 | r2SCAN | optimized geometry

```
data_U2In3Sn3
_chemical_formula_sum 'U2 In3 Sn3'
_cell_length_a 4.642
_cell_length_b 4.749
_cell_length_c 9.127
_cell_angle_alpha 90.00
_cell_angle_beta 90.00
_cell_angle_gamma 90.00
_space_group_name_H-M_alt 'P m m m'
_space_group_IT_number 47
_space_group_name_Hall '-P 2 2'
loop_
_atom_site_label
_atom_site_type_symbol
_atom_site_fract_x
_atom_site_fract_y
_atom_site_fract_z
U1 U 0.000 0.000 0.246
In1 In 0.000 0.500 0.500
In2 In 0.500 0.500 0.253
Sn1 Sn 0.000 0.500 0.000
Sn2 Sn 0.500 0.000 0.000
Sn3 Sn 0.500 0.000 0.500
```

---

CaY2SnO6 | r2SCAN | optimized geometry

```
data_CaY2SnO6
_chemical_formula_sum 'Ca4 Y8 Sn4 O24'
_cell_length_a 8.196
_cell_length_b 8.196
_cell_length_c 8.196
_cell_angle_alpha 90.00
_cell_angle_beta 90.00
_cell_angle_gamma 90.00
_space_group_name_H-M_alt 'F m -3 m'
_space_group_IT_number 225
_space_group_name_Hall '-F 4 2 3'
loop_
_atom_site_label
_atom_site_type_symbol
_atom_site_fract_x
_atom_site_fract_y
_atom_site_fract_z
Ca1 Ca 0.000 0.000 0.000
Y1 Y 0.250 0.250 0.250
Sn1 Sn 0.000 0.000 0.500
O1 O 0.000 0.000 0.258
```

---

Number 1: formation energy from the elements -1039 meV per atom. Number 2: formation energy from the elements -289 meV per atom. Number 3: formation energy from the elements -2500 meV per atom.